[1]
Ti3Sb: relaxed, PBE.

a = 7.9263 Å, b = 7.9263 Å, c = 7.9263 Å
α = 96.30°, β = 96.30°, γ = 141.32°
Last column: nearest neighbours and their distance in Å.
Positions (direct):
Ti (0.0756, 0.7834, 0.8590)  4 Ti 2.76-3.07, 4 Sb 2.83-3.06
Ti (0.2166, 0.0756, 0.2922)  4 Ti 2.76-3.07, 4 Sb 2.83-3.06
Ti (0.2500, 0.2500, 0.0000)  10 Ti 2.63-2.76
Ti (0.2500, 0.7500, 0.5000)  2 Ti 2.63, 4 Sb 2.77
Ti (0.2834, 0.5756, 0.8590)  4 Ti 2.76-3.07, 4 Sb 2.83-3.06
Ti (0.4244, 0.2834, 0.7078)  4 Ti 2.76-3.07, 4 Sb 2.83-3.06
Ti (0.5756, 0.7166, 0.2922)  4 Ti 2.76-3.07, 4 Sb 2.83-3.06
Ti (0.7166, 0.4244, 0.1410)  4 Ti 2.76-3.07, 4 Sb 2.83-3.06
Ti (0.7500, 0.2500, 0.5000)  2 Ti 2.63, 4 Sb 2.77
Ti (0.7500, 0.7500, 0.0000)  10 Ti 2.63-2.76
Ti (0.7834, 0.9244, 0.7078)  4 Ti 2.76-3.07, 4 Sb 2.83-3.06
Ti (0.9244, 0.2166, 0.1410)  4 Ti 2.76-3.07, 4 Sb 2.83-3.06
Sb (0.1628, 0.3372, 0.5000)  10 Ti 2.77-3.06
Sb (0.3372, 0.8372, 0.1745)  10 Ti 2.77-3.06
Sb (0.6628, 0.1628, 0.8255)  10 Ti 2.77-3.06
Sb (0.8372, 0.6628, 0.5000)  10 Ti 2.77-3.06

Summary:
E_form: -144 kJ/mol of formula units
crystal system: tetragonal
magnetic moment: 0.37 μB/f.u.
corrected total energy (MP2020 scheme): -117.222 eV per cell
final energy: -116.45 eV/cell

[2]
Li6TiB3O9: relaxed, PBE.

a = 7.0759 Å, b = 16.2412 Å, c = 6.5215 Å
α = 90.00°, β = 105.05°, γ = 90.00°
Last column: nearest neighbours and their distance in Å.
Positions (direct):
Li (0.0411, 0.0303, 0.1701)  3 O 1.89-2.10
Li (0.0411, 0.4697, 0.6701)  3 O 1.89-2.10
Li (0.0784, 0.7067, 0.0454)  4 O 1.92-2.10
Li (0.0784, 0.7933, 0.5454)  4 O 1.92-2.10
Li (0.1951, 0.5366, 0.0532)  3 O 1.92-2.04
Li (0.1951, 0.9634, 0.5532)  3 O 1.92-2.04
Li (0.2244, 0.2079, 0.8628)  3 O 1.90-2.04
Li (0.2244, 0.2921, 0.3628)  3 O 1.90-2.04
Li (0.3636, 0.0544, 0.9142)  4 O 1.91-2.14
Li (0.3636, 0.4456, 0.4142)  4 O 1.91-2.14
Li (0.4324, 0.0047, 0.3210)  4 O 1.83-1.94
Li (0.4324, 0.4953, 0.8210)  4 O 1.83-1.94
Li (0.5676, 0.5047, 0.1790)  4 O 1.83-1.94
Li (0.5676, 0.9953, 0.6790)  4 O 1.83-1.94
Li (0.6364, 0.5544, 0.5858)  4 O 1.91-2.14
Li (0.6364, 0.9456, 0.0858)  4 O 1.91-2.14
Li (0.7756, 0.7079, 0.6372)  3 O 1.90-2.04
Li (0.7756, 0.7921, 0.1372)  3 O 1.90-2.04
Li (0.8049, 0.0366, 0.4468)  3 O 1.92-2.04
Li (0.8049, 0.4634, 0.9468)  3 O 1.92-2.04
Li (0.9216, 0.2067, 0.4546)  4 O 1.92-2.10
Li (0.9216, 0.2933, 0.9546)  4 O 1.92-2.10
Li (0.9589, 0.5303, 0.3299)  3 O 1.89-2.10
Li (0.9589, 0.9697, 0.8299)  3 O 1.89-2.10
Ti (0.4238, 0.6867, 0.8385)  7 O 2.11-2.29
Ti (0.4238, 0.8133, 0.3385)  7 O 2.11-2.29
Ti (0.5762, 0.1867, 0.6615)  7 O 2.11-2.29
Ti (0.5762, 0.3133, 0.1615)  7 O 2.11-2.29
B (0.0690, 0.6195, 0.6887)  3 O 1.38-1.39
B (0.0690, 0.8805, 0.1887)  3 O 1.38-1.39
B (0.2184, 0.1247, 0.5012)  3 O 1.37-1.40
B (0.2184, 0.3753, 0.0012)  3 O 1.37-1.40
B (0.4175, 0.6386, 0.3419)  3 O 1.37-1.39
B (0.4175, 0.8614, 0.8419)  3 O 1.37-1.39
B (0.5825, 0.1386, 0.1581)  3 O 1.37-1.39
B (0.5825, 0.3614, 0.6581)  3 O 1.37-1.39
B (0.7816, 0.6247, 0.9988)  3 O 1.37-1.40
B (0.7816, 0.8753, 0.4988)  3 O 1.37-1.40
B (0.9310, 0.1195, 0.8113)  3 O 1.38-1.39
B (0.9310, 0.3805, 0.3113)  3 O 1.38-1.39
O (0.0379, 0.0905, 0.4174)  1 B 1.37
O (0.0379, 0.4095, 0.9174)  1 B 1.37
O (0.0927, 0.7021, 0.7373)  1 B 1.38
O (0.0927, 0.7979, 0.2373)  1 B 1.38
O (0.1009, 0.0820, 0.9243)  1 B 1.38
O (0.1009, 0.4180, 0.4243)  1 B 1.38
O (0.2371, 0.5727, 0.7695)  1 B 1.39
O (0.2371, 0.9273, 0.2695)  1 B 1.39
O (0.2508, 0.2055, 0.5641)  1 B 1.38
O (0.2508, 0.2945, 0.0640)  1 B 1.38
O (0.3762, 0.6927, 0.1716)  1 B 1.39
O (0.3762, 0.8073, 0.6716)  1 B 1.39
O (0.3897, 0.0781, 0.5395)  1 B 1.40
O (0.3897, 0.4219, 0.0395)  1 B 1.40
O (0.4013, 0.5545, 0.3198)  1 B 1.37
O (0.4013, 0.9455, 0.8198)  1 B 1.37
O (0.4907, 0.6713, 0.5432)  1 B 1.39
O (0.4907, 0.8287, 0.0432)  1 B 1.39
O (0.5093, 0.1713, 0.9568)  1 B 1.39
O (0.5093, 0.3287, 0.4568)  1 B 1.39
O (0.5987, 0.0545, 0.1802)  1 B 1.37
O (0.5987, 0.4455, 0.6802)  1 B 1.37
O (0.6103, 0.5781, 0.9605)  1 B 1.40
O (0.6103, 0.9219, 0.4605)  1 B 1.40
O (0.6238, 0.1927, 0.3284)  1 B 1.39
O (0.6238, 0.3073, 0.8284)  1 B 1.39
O (0.7492, 0.7055, 0.9360)  1 B 1.38
O (0.7492, 0.7945, 0.4360)  1 B 1.38
O (0.7629, 0.0727, 0.7305)  1 B 1.39
O (0.7629, 0.4273, 0.2305)  1 B 1.39
O (0.8991, 0.5820, 0.5757)  1 B 1.38
O (0.8991, 0.9180, 0.0757)  1 B 1.38
O (0.9073, 0.2021, 0.7627)  1 B 1.38
O (0.9073, 0.2979, 0.2627)  1 B 1.38
O (0.9621, 0.5905, 0.0826)  1 B 1.37
O (0.9621, 0.9095, 0.5826)  1 B 1.37

Summary:
E_form: -4841 kJ/mol of formula units
crystal system: monoclinic
magnetic moment: 1.00 μB/f.u.
corrected total energy (MP2020 scheme): -536.368 eV per cell
final energy: -511.64 eV/cell

[3]
Na2MgSb2O6: relaxed, PBE.

a = 5.5786 Å, b = 5.5799 Å, c = 6.0936 Å
α = 117.10°, β = 90.06°, γ = 119.99°
Last column: nearest neighbours and their distance in Å.
Positions (direct):
Na (0.0000, 0.0000, 0.0000)  1 Na 2.24, 3 O 2.26-2.27
Na (0.1438, 0.2907, 0.4327)  6 O 2.21-2.45, 1 Na 2.24
Mg (0.3190, 0.6389, 0.9559)  6 O 2.20-2.25
Sb (0.5212, 0.0440, 0.5630)  6 O 2.26-2.40
Sb (0.8185, 0.6391, 0.4556)  6 O 2.05
O (0.1020, 0.7748, 0.2567)  2 Sb 2.05-2.27, 1 Mg 2.25
O (0.1474, 0.7267, 0.6952)  1 Sb 2.05, 1 Mg 2.20, 2 Na 2.21-2.26
O (0.4838, 0.5890, 0.2573)  2 Sb 2.05-2.26, 1 Mg 2.24
O (0.5774, 0.5479, 0.6950)  1 Sb 2.05, 1 Mg 2.21, 2 Na 2.21-2.27
O (0.6704, 0.1566, 0.2573)  2 Sb 2.05-2.26, 1 Mg 2.25
O (0.9689, 0.1184, 0.6952)  1 Sb 2.05, 1 Mg 2.21, 2 Na 2.21-2.27

Summary:
E_form: -2087 kJ/mol of formula units
excess energy over the best structure of this formula in the dataset: 95 kJ/mol of formula units
crystal system: triclinic
magnetic moment: 0.00 μB/f.u.
corrected total energy (MP2020 scheme): -63.822 eV per cell
final energy: -59.70 eV/cell

[4]
Eu2CoSi3: relaxed, PBE.

a = 4.0071 Å, b = 4.0071 Å, c = 8.7742 Å
α = 90.00°, β = 90.00°, γ = 120.00°
Last column: nearest neighbours and their distance in Å.
Positions (direct):
Eu (0.0000, 0.0000, 0.2398)  3 Co 3.13, 9 Si 3.13-3.25
Eu (0.0000, 0.0000, 0.7602)  3 Co 3.13, 9 Si 3.13-3.25
Co (0.3333, 0.6667, 0.0000)  3 Si 2.31
Si (0.3333, 0.6667, 0.5000)  3 Si 2.31
Si (0.6667, 0.3333, 0.0000)  3 Co 2.31
Si (0.6667, 0.3333, 0.5000)  3 Si 2.31

Summary:
E_form: -233 kJ/mol of formula units
crystal system: hexagonal
magnetic moment: 13.85 μB/f.u.
corrected total energy (MP2020 scheme): -46.313 eV per cell
final energy: -46.53 eV/cell

[5]
CaEr15Si8Se11ClO28: relaxed, PBE.

a = 10.8700 Å, b = 10.8700 Å, c = 11.8581 Å
α = 123.00°, β = 123.00°, γ = 66.15°
Last column: nearest neighbours and their distance in Å.
Positions (direct):
Ca (0.0000, 0.0000, 0.0000)  3 O 2.36-2.51
Er (0.0136, 0.4857, 0.5119)  3 O 2.27-2.42
Er (0.3249, 0.8543, 0.8520)  3 O 2.28-2.43
Er (0.3380, 0.3380, 0.3625)  3 O 2.29-2.41
Er (0.3387, 0.3387, 0.8398)  3 O 2.27-2.39
Er (0.3687, 0.7174, 0.1341)  5 O 2.34-2.60
Er (0.3731, 0.7163, 0.4776)  4 O 2.33-2.41
Er (0.4857, 0.0136, 0.5119)  3 O 2.27-2.42
Er (0.6162, 0.9707, 0.2322)  6 O 2.34-2.58
Er (0.6212, 0.9687, 0.8802)  4 O 2.29-2.43
Er (0.7163, 0.3731, 0.4776)  4 O 2.33-2.41
Er (0.7174, 0.3687, 0.1341)  5 O 2.34-2.60
Er (0.8543, 0.3249, 0.8520)  3 O 2.28-2.43
Er (0.9687, 0.6212, 0.8802)  4 O 2.29-2.43
Er (0.9707, 0.6162, 0.2322)  6 O 2.34-2.58
Er (0.9994, 0.9994, 0.5232)  3 O 2.29-2.43
Si (0.1326, 0.8840, 0.2713)  4 O 1.62-1.67
Si (0.2054, 0.4537, 0.0913)  4 O 1.64-1.67
Si (0.4537, 0.2054, 0.0913)  4 O 1.64-1.67
Si (0.5783, 0.5783, 0.7176)  4 O 1.63-1.66
Si (0.5779, 0.5779, 0.9645)  4 O 1.64-1.66
Si (0.7584, 0.7584, 0.6454)  4 O 1.65-1.66
Si (0.7587, 0.7587, 0.3968)  4 O 1.65-1.67
Si (0.8840, 0.1326, 0.2713)  4 O 1.62-1.67
Se (0.0230, 0.3138, 0.6797)  4 Er 2.91-2.92, 2 O 3.08-3.14
Se (0.0261, 0.3178, 0.1863)  3 Er 2.83-2.93, 1 Ca 2.95, 2 O 3.05-3.12
Se (0.0463, 0.0463, 0.8026)  3 Er 2.83-2.86, 1 Ca 2.96
Se (0.1706, 0.6694, 0.5380)  4 Er 2.89-2.94, 2 O 3.10-3.12
Se (0.1715, 0.6651, 0.8234)  4 Er 2.89-2.93, 2 O 3.09-3.16
Se (0.2947, 0.2947, 0.5572)  4 Er 2.87-2.89, 1 O 3.18
Se (0.3138, 0.0230, 0.6797)  4 Er 2.91-2.92, 2 O 3.08-3.14
Se (0.3178, 0.0261, 0.1863)  3 Er 2.83-2.93, 1 Ca 2.95, 2 O 3.05-3.12
Se (0.5453, 0.5453, 0.3063)  4 Er 2.88-2.89, 9 O 3.13-3.20
Se (0.6651, 0.1715, 0.8234)  4 Er 2.89-2.93, 2 O 3.09-3.16
Se (0.6694, 0.1706, 0.5380)  4 Er 2.89-2.94, 2 O 3.10-3.12
Cl (0.7942, 0.7942, 0.0572)  4 Er 2.95-2.96, 12 O 3.08-3.20
O (0.0201, 0.4886, 0.0168)  1 Si 1.67
O (0.0612, 0.0612, 0.3245)  2 Si 1.65
O (0.0911, 0.8145, 0.3357)  1 Si 1.62
O (0.0934, 0.8074, 0.0953)  1 Si 1.63
O (0.2429, 0.5202, 0.0197)  1 Si 1.64
O (0.2432, 0.5213, 0.2676)  1 Si 1.65
O (0.2768, 0.2768, 0.0382)  2 Si 1.64
O (0.3174, 0.8539, 0.3494)  1 Si 1.67
O (0.4886, 0.0201, 0.0168)  1 Si 1.67
O (0.5029, 0.5029, 0.5331)  1 Si 1.66
O (0.5028, 0.5028, 0.9983)  1 Si 1.66
O (0.5134, 0.7567, 0.0344)  1 Si 1.65
O (0.5141, 0.7552, 0.7625)  1 Si 1.63
O (0.5202, 0.2429, 0.0197)  1 Si 1.64
O (0.5213, 0.2432, 0.2676)  1 Si 1.65
O (0.5245, 0.5245, 0.7873)  2 Si 1.64
O (0.5818, 0.8300, 0.3289)  1 Si 1.65
O (0.5824, 0.8298, 0.6074)  1 Si 1.65
O (0.7552, 0.5141, 0.7625)  1 Si 1.63
O (0.7567, 0.5134, 0.0344)  1 Si 1.65
O (0.8074, 0.0934, 0.0953)  1 Si 1.63
O (0.8119, 0.8119, 0.5742)  2 Si 1.65
O (0.8145, 0.0911, 0.3357)  1 Si 1.62
O (0.8294, 0.8294, 0.8291)  1 Si 1.66
O (0.8300, 0.5818, 0.3289)  1 Si 1.65
O (0.8298, 0.5824, 0.6074)  1 Si 1.65
O (0.8339, 0.8339, 0.3614)  1 Si 1.67
O (0.8539, 0.3174, 0.3494)  1 Si 1.67

Summary:
E_form: -19178 kJ/mol of formula units
crystal system: monoclinic
magnetic moment: 0.01 μB/f.u.
corrected total energy (MP2020 scheme): -491.540 eV per cell
final energy: -472.30 eV/cell

Which value of corrected total energy (MP2020 scheme) does entry 5 give? -491.540 eV per cell

magnetic moment of number 1 (Ti3Sb)? 0.37 μB/f.u.

Which of these has the highest final energy? Eu2CoSi3